# 1
{"formula": "DyTmO3", "functional": "GGA-PBE", "state": "optimized geometry", "magmom_total_mub_per_cell": 0.000, "final_energy_ev_per_cell": -166.72, "lattice_angstrom": [[5.9074, 0.0000, 0.0000], [0.0000, 8.3289, 0.0000], [0.0000, 0.0000, 5.6379]], "species": ["Dy", "Dy", "Dy", "Dy", "Tm", "Tm", "Tm", "Tm", "O", "O", "O", "O", "O", "O", "O", "O", "O", "O", "O", "O"], "fractional_positions": [[0.0535, 0.2500, 0.0163], [0.4465, 0.7500, 0.5163], [0.5535, 0.2500, 0.4837], [0.9465, 0.7500, 0.9837], [0.0000, 0.0000, 0.5000], [0.0000, 0.5000, 0.5000], [0.5000, 0.0000, 0.0000], [0.5000, 0.5000, 0.0000], [0.0762, 0.7500, 0.3544], [0.1850, 0.5761, 0.8186], [0.1850, 0.9239, 0.8186], [0.3150, 0.0761, 0.3186], [0.3150, 0.4239, 0.3186], [0.4238, 0.2500, 0.8544], [0.5762, 0.7500, 0.1456], [0.6850, 0.5761, 0.6814], [0.6850, 0.9239, 0.6814], [0.8150, 0.0761, 0.1814], [0.8150, 0.4239, 0.1814], [0.9238, 0.2500, 0.6456]]}


# 2
{"formula": "LiCe2Os", "functional": "GGA-PBE", "state": "optimized geometry", "magmom_total_mub_per_cell": 0.575, "final_energy_ev_per_cell": -25.25, "lattice_angstrom": [[0.0000, 3.5127, 3.5127], [3.5127, 0.0000, 3.5127], [3.5127, 3.5127, 0.0000]], "species": ["Li", "Ce", "Ce", "Os"], "fractional_positions": [[0.0000, 0.0000, 0.0000], [0.2500, 0.2500, 0.2500], [0.7500, 0.7500, 0.7500], [0.5000, 0.5000, 0.5000]]}


# 3
{"formula": "DyInPd2", "functional": "GGA-PBE", "state": "optimized geometry", "final_energy_ev_per_cell": -21.01, "lattice_angstrom": [[0.0000, 3.4025, 3.4025], [3.4025, 0.0000, 3.4025], [3.4025, 3.4025, 0.0000]], "species": ["Dy", "In", "Pd", "Pd"], "fractional_positions": [[0.0000, 0.0000, 0.0000], [0.5000, 0.5000, 0.5000], [0.2500, 0.2500, 0.2500], [0.7500, 0.7500, 0.7500]]}